Record 1
{
  "formula": "Li4MnCo3O8",
  "functional": "PBE with a Hubbard U",
  "state": "optimized geometry",
  "spacegroup": "P-1, No. 2",
  "dft_energy_ev_per_fu": -92.2,
  "total_magnetization_mub_per_cell": 0.0,
  "e_form_ev_per_fu": -26.60,
  "de_polymorph_kj_per_mol_atoms": 12.9,
  "lattice": [[-2.634, -0.850, -0.984], [-0.143, -3.916, 3.396], [-4.846, 4.380, 7.363]],
  "species": ["Li", "Li", "Li", "Li", "Mn", "Co", "Co", "Co", "O", "O", "O", "O", "O", "O", "O", "O"],
  "frac_coords": [[0.000, 0.000, 0.000], [0.501, 0.750, 0.251], [0.000, 0.500, 0.500], [0.499, 0.250, 0.749], [0.500, 0.000, 0.500], [0.001, 0.753, 0.751], [0.500, 0.500, 0.000], [0.999, 0.247, 0.249], [0.509, 0.861, 0.870], [0.010, 0.609, 0.119], [0.510, 0.355, 0.370], [0.033, 0.115, 0.624], [0.491, 0.139, 0.130], [0.967, 0.885, 0.376], [0.490, 0.645, 0.630], [0.990, 0.391, 0.881]]
}

Record 2
{
  "formula": "Li4MnCo2O7",
  "functional": "PBE with a Hubbard U",
  "state": "optimized geometry",
  "spacegroup": "P1, No. 1",
  "dft_energy_ev_per_fu": -81.4,
  "total_magnetization_mub_per_cell": 12.6,
  "e_form_ev_per_fu": -25.51,
  "de_polymorph_kj_per_mol_atoms": 6.0,
  "lattice": [[-1.088, -2.724, -0.492], [1.144, 0.146, -5.854], [12.689, -6.650, 0.539]],
  "species": ["Li", "Li", "Li", "Li", "Li", "Li", "Li", "Li", "Mn", "Mn", "Co", "Co", "Co", "Co", "O", "O", "O", "O", "O", "O", "O", "O", "O", "O", "O", "O", "O", "O"],
  "frac_coords": [[0.997, 0.498, 0.002], [0.578, 0.781, 0.849], [0.149, 0.083, 0.709], [0.428, 0.216, 0.146], [0.857, 0.929, 0.287], [0.283, 0.642, 0.430], [0.710, 0.362, 0.577], [0.137, 0.564, 0.709], [0.005, 0.000, 0.002], [0.579, 0.295, 0.851], [0.707, 0.848, 0.577], [0.286, 0.143, 0.430], [0.857, 0.427, 0.287], [0.426, 0.710, 0.145], [0.469, 0.755, 0.006], [0.096, 0.062, 0.861], [0.633, 0.317, 0.723], [0.897, 0.474, 0.151], [0.325, 0.187, 0.294], [0.753, 0.905, 0.439], [0.185, 0.629, 0.570], [0.538, 0.243, 0.994], [0.051, 0.508, 0.856], [0.651, 0.830, 0.699], [0.957, 0.951, 0.140], [0.387, 0.666, 0.280], [0.814, 0.381, 0.422], [0.243, 0.096, 0.564]]
}

Record 3
{
  "formula": "Li7Mn2Co3O12",
  "functional": "PBE with a Hubbard U",
  "state": "optimized geometry",
  "spacegroup": "Pm, No. 6",
  "dft_energy_ev_per_fu": -140.7,
  "total_magnetization_mub_per_cell": 8.0,
  "e_form_ev_per_fu": -44.77,
  "de_polymorph_kj_per_mol_atoms": 6.5,
  "lattice": [[-1.239, 1.730, 2.001], [-2.453, -4.004, 1.941], [10.997, -2.721, 9.160]],
  "species": ["Li", "Li", "Li", "Li", "Li", "Li", "Li", "Mn", "Mn", "Co", "Co", "Co", "O", "O", "O", "O", "O", "O", "O", "O", "O", "O", "O", "O"],
  "frac_coords": [[0.000, 0.003, 0.496], [0.500, 0.835, 0.162], [0.000, 0.650, 0.847], [0.000, 0.352, 0.156], [0.500, 0.168, 0.844], [0.500, 0.498, 0.494], [0.500, 0.499, 0.000], [0.000, 0.000, 0.000], [0.500, 0.832, 0.666], [0.000, 0.669, 0.332], [0.000, 0.332, 0.668], [0.500, 0.169, 0.332], [0.000, 0.988, 0.258], [0.500, 0.850, 0.927], [0.000, 0.693, 0.591], [0.000, 0.307, 0.920], [0.500, 0.158, 0.594], [0.500, 0.486, 0.256], [0.000, 0.968, 0.740], [0.500, 0.844, 0.411], [0.000, 0.693, 0.079], [0.000, 0.345, 0.412], [0.500, 0.150, 0.073], [0.500, 0.509, 0.739]]
}